Compound: MgFe4Cu2O8
Source: Materials Project
Functional: PBE with a Hubbard U
Structure: optimized geometry

Results
The calculation puts the total magnetization at 39.69 μB per cell. Its crystal system is monoclinic. The distance to the lowest polymorph of the same formula comes out at 0.00 eV/f.u. For the formation energy, the calculation gives -22.40 eV/f.u.

a = 10.3913 Å, b = 5.9973 Å, c = 6.3149 Å
α = 90.00°, β = 123.45°, γ = 90.00°
Space group C2/m (No. 12)
Symmetry-distinct sites (fractional):
Mg 0.0000 0.0000 0.0000 (multiplicity 2)
Fe 0.0000 0.5000 0.0000 (multiplicity 2)
Fe 0.0000 0.5000 0.5000 (multiplicity 2)
Fe 0.2500 0.2500 0.0000 (multiplicity 4)
Cu 0.1532 0.0000 0.4615 (multiplicity 4)
O 0.0094 0.2552 0.7740 (multiplicity 8)
O 0.2285 0.5000 0.1848 (multiplicity 4)
O 0.2456 0.0000 0.2256 (multiplicity 4)


Compound: LiMn3Al2H6O12
Source: Materials Project
Functional: PBE with a Hubbard U
Structure: optimized geometry

Results
The calculation puts the total magnetization at 20.00 μB per cell. Its crystal system is triclinic. The distance to the lowest polymorph of the same formula comes out at 0.59 eV/f.u. For the formation energy, the calculation gives -48.60 eV/f.u.

a = 5.9445 Å, b = 7.8696 Å, c = 10.1221 Å
α = 109.40°, β = 90.43°, γ = 100.73°
Space group P-1 (No. 2)
Symmetry-distinct sites (fractional):
Li 0.1579 0.1562 0.0010 (multiplicity 2)
Mn 0.0000 0.5000 0.5000 (multiplicity 1)
Mn 0.1624 0.1685 0.5038 (multiplicity 2)
Mn 0.3365 0.8308 0.4975 (multiplicity 2)
Mn 0.5000 0.5000 0.5000 (multiplicity 1)
Al 0.0000 0.5000 0.0000 (multiplicity 1)
Al 0.3317 0.8381 0.9980 (multiplicity 2)
Al 0.5000 0.5000 0.0000 (multiplicity 1)
H 0.0928 0.8054 0.2032 (multiplicity 2)
H 0.1086 0.8427 0.7904 (multiplicity 2)
H 0.2451 0.5103 0.7875 (multiplicity 2)
H 0.2461 0.4888 0.2034 (multiplicity 2)
H 0.4224 0.1396 0.2087 (multiplicity 2)
H 0.4388 0.1940 0.8016 (multiplicity 2)
O 0.0723 0.7671 0.5984 (multiplicity 2)
O 0.0841 0.7571 0.1001 (multiplicity 2)
O 0.0962 0.9054 0.3966 (multiplicity 2)
O 0.1144 0.8815 0.8923 (multiplicity 2)
O 0.2050 0.4268 0.6119 (multiplicity 2)
O 0.2389 0.4516 0.1004 (multiplicity 2)
O 0.2616 0.5511 0.3965 (multiplicity 2)
O 0.2654 0.5568 0.8928 (multiplicity 2)
O 0.4013 0.1081 0.6038 (multiplicity 2)
O 0.4177 0.0921 0.1058 (multiplicity 2)
O 0.4202 0.2310 0.4001 (multiplicity 2)
O 0.4551 0.2439 0.9045 (multiplicity 2)


Compound: Li3Mn3P8O29
Source: Materials Project
Functional: PBE with a Hubbard U
Structure: optimized geometry

Results
The calculation puts the total magnetization at 40.02 μB per cell. Its crystal system is monoclinic. For the formation energy, the calculation gives -99.52 eV/f.u.

a = 16.9860 Å, b = 9.7215 Å, c = 14.1104 Å
α = 90.00°, β = 90.93°, γ = 90.00°
Space group C2/c (No. 15)
Symmetry-distinct sites (fractional):
Li 0.0000 0.0000 0.0000 (multiplicity 4)
Li 0.1625 0.0674 0.0651 (multiplicity 8)
Mn 0.0000 0.4352 0.7500 (multiplicity 4)
Mn 0.2218 0.2189 0.2509 (multiplicity 8)
P 0.0428 0.2653 0.1593 (multiplicity 8)
P 0.1067 0.1995 0.6649 (multiplicity 8)
P 0.1606 0.0672 0.8451 (multiplicity 8)
P 0.1649 0.4994 0.3625 (multiplicity 8)
O 0.0000 0.1993 0.2500 (multiplicity 4)
O 0.0047 0.2058 0.0736 (multiplicity 8)
O 0.0370 0.3009 0.6637 (multiplicity 8)
O 0.0408 0.4227 0.1693 (multiplicity 8)
O 0.0947 0.4172 0.8218 (multiplicity 8)
O 0.1001 0.1135 0.7621 (multiplicity 8)
O 0.1021 0.1022 0.5842 (multiplicity 8)
O 0.1207 0.0950 0.9374 (multiplicity 8)
O 0.1282 0.2082 0.1630 (multiplicity 8)
O 0.1622 0.3508 0.3234 (multiplicity 8)
O 0.1635 0.4826 0.4705 (multiplicity 8)
O 0.1733 0.0914 0.3349 (multiplicity 8)
O 0.1856 0.2799 0.6710 (multiplicity 8)
O 0.2397 0.1422 0.8293 (multiplicity 8)
O 0.2429 0.4231 0.8371 (multiplicity 8)


Compound: KFe3H6S2O14
Source: Materials Project
Functional: PBE with a Hubbard U
Structure: optimized geometry

Results
The calculation puts the total magnetization at 45.00 μB per cell. Its crystal system is trigonal. The distance to the lowest polymorph of the same formula comes out at 0.00 eV/f.u. For the formation energy, the calculation gives -44.01 eV/f.u.

a = 7.4155 Å, b = 7.4155 Å, c = 17.7083 Å
α = 90.00°, β = 90.00°, γ = 120.00°
Space group R-3m (No. 166, hexagonal axes)
Symmetry-distinct sites (fractional):
K 0.0000 0.0000 0.0000 (multiplicity 3)
Fe 0.0000 0.5000 0.5000 (multiplicity 9)
H 0.0593 0.5297 0.2231 (multiplicity 18)
S 0.0000 0.0000 0.3055 (multiplicity 6)
O 0.0000 0.0000 0.3886 (multiplicity 6)
O 0.0773 0.5387 0.8022 (multiplicity 18)
O 0.1102 0.2205 0.7230 (multiplicity 18)


Compound: Li2Co3TeO8
Source: Materials Project
Functional: PBE with a Hubbard U
Structure: optimized geometry

Results
The calculation puts the total magnetization at 20.00 μB per cell. Its crystal system is monoclinic. The distance to the lowest polymorph of the same formula comes out at 0.47 eV/f.u. For the formation energy, the calculation gives -21.44 eV/f.u.

a = 5.9260 Å, b = 10.2612 Å, c = 9.7778 Å
α = 90.00°, β = 90.10°, γ = 90.00°
Space group Cc (No. 9)
Symmetry-distinct sites (fractional):
Li 0.0000 0.0000 0.0000 (multiplicity 4)
Li 0.4970 0.1654 0.4197 (multiplicity 4)
Co 0.2468 0.4160 0.2342 (multiplicity 4)
Co 0.2600 0.0933 0.7243 (multiplicity 4)
Co 0.4896 0.3227 0.7250 (multiplicity 4)
Te 0.4959 0.1659 0.9995 (multiplicity 4)
O 0.0028 0.1706 0.6014 (multiplicity 4)
O 0.0148 0.3382 0.1209 (multiplicity 4)
O 0.2191 0.2601 0.3648 (multiplicity 4)
O 0.2448 0.4131 0.6013 (multiplicity 4)
O 0.2549 0.0847 0.1019 (multiplicity 4)
O 0.2729 0.2420 0.8666 (multiplicity 4)
O 0.4963 0.4992 0.3080 (multiplicity 4)
O 0.4992 0.0191 0.8636 (multiplicity 4)


Compound: Gd2W4O15
Source: Materials Project
Functional: PBE with a Hubbard U
Structure: optimized geometry

Results
The calculation puts the total magnetization at 56.00 μB per cell. Its crystal system is monoclinic. The distance to the lowest polymorph of the same formula comes out at 0.94 eV/f.u. For the formation energy, the calculation gives -53.50 eV/f.u.

a = 9.0583 Å, b = 12.6835 Å, c = 13.8684 Å
α = 90.00°, β = 130.46°, γ = 90.00°
Space group P2_1/c (No. 14)
Symmetry-distinct sites (fractional):
Gd 0.1025 0.1250 0.2556 (multiplicity 4)
Gd 0.3061 0.6471 0.2267 (multiplicity 4)
W 0.2284 0.1659 0.5919 (multiplicity 4)
W 0.3153 0.6546 0.9417 (multiplicity 4)
W 0.3165 0.5585 0.6225 (multiplicity 4)
W 0.3210 0.0903 0.8975 (multiplicity 4)
O 0.0436 0.1352 0.4222 (multiplicity 4)
O 0.1064 0.5571 0.4552 (multiplicity 4)
O 0.1223 0.2288 0.6501 (multiplicity 4)
O 0.1613 0.1936 0.8586 (multiplicity 4)
O 0.1722 0.5141 0.2848 (multiplicity 4)
O 0.2102 0.5422 0.8384 (multiplicity 4)
O 0.2196 0.7237 0.3428 (multiplicity 4)
O 0.2526 0.6483 0.0414 (multiplicity 4)
O 0.2640 0.6693 0.6762 (multiplicity 4)
O 0.2994 0.0566 0.1914 (multiplicity 4)
O 0.3606 0.0447 0.6865 (multiplicity 4)
O 0.4076 0.2443 0.1254 (multiplicity 4)
O 0.4240 0.1426 0.4543 (multiplicity 4)
O 0.4499 0.0489 0.0664 (multiplicity 4)
O 0.4953 0.6504 0.6067 (multiplicity 4)


Look up the total magnetization of the sixth one.
56.00 μB per cell


Please write out number 3 again, unchanged.
Compound: Li3Mn3P8O29
Source: Materials Project
Functional: PBE with a Hubbard U
Structure: optimized geometry

Results
The calculation puts the total magnetization at 40.02 μB per cell. Its crystal system is monoclinic. For the formation energy, the calculation gives -99.52 eV/f.u.

a = 16.9860 Å, b = 9.7215 Å, c = 14.1104 Å
α = 90.00°, β = 90.93°, γ = 90.00°
Space group C2/c (No. 15)
Symmetry-distinct sites (fractional):
Li 0.0000 0.0000 0.0000 (multiplicity 4)
Li 0.1625 0.0674 0.0651 (multiplicity 8)
Mn 0.0000 0.4352 0.7500 (multiplicity 4)
Mn 0.2218 0.2189 0.2509 (multiplicity 8)
P 0.0428 0.2653 0.1593 (multiplicity 8)
P 0.1067 0.1995 0.6649 (multiplicity 8)
P 0.1606 0.0672 0.8451 (multiplicity 8)
P 0.1649 0.4994 0.3625 (multiplicity 8)
O 0.0000 0.1993 0.2500 (multiplicity 4)
O 0.0047 0.2058 0.0736 (multiplicity 8)
O 0.0370 0.3009 0.6637 (multiplicity 8)
O 0.0408 0.4227 0.1693 (multiplicity 8)
O 0.0947 0.4172 0.8218 (multiplicity 8)
O 0.1001 0.1135 0.7621 (multiplicity 8)
O 0.1021 0.1022 0.5842 (multiplicity 8)
O 0.1207 0.0950 0.9374 (multiplicity 8)
O 0.1282 0.2082 0.1630 (multiplicity 8)
O 0.1622 0.3508 0.3234 (multiplicity 8)
O 0.1635 0.4826 0.4705 (multiplicity 8)
O 0.1733 0.0914 0.3349 (multiplicity 8)
O 0.1856 0.2799 0.6710 (multiplicity 8)
O 0.2397 0.1422 0.8293 (multiplicity 8)
O 0.2429 0.4231 0.8371 (multiplicity 8)


Look up the total magnetization of the fourth one.
45.00 μB per cell


total magnetization of number 6 (Gd2W4O15)?
56.00 μB per cell